1.
The following is a r²SCAN calculation of Eu2Sn5Au2 after structural relaxation, from the Materials Project.

```
Eu2Sn5Au2
1.0
4.600 0.000 0.000
0.000 9.488 0.005
0.000 0.273 10.508
Eu Sn Au
4 10 4
Direct
0.750 0.638 0.246
0.250 0.362 0.754
0.750 0.099 0.248
0.250 0.901 0.752
0.250 0.135 0.478
0.750 0.865 0.522
0.250 0.370 0.241
0.750 0.630 0.759
0.250 0.606 0.521
0.750 0.394 0.479
0.250 0.617 0.984
0.750 0.383 0.016
0.750 0.107 0.886
0.250 0.893 0.114
0.750 0.147 0.627
0.250 0.853 0.373
0.750 0.823 0.971
0.250 0.177 0.029
```

## Properties
Symmetry: P2_1/m
DFT formation energy in eV/atom: -0.54

---

2.
The following is a r²SCAN calculation of EuSnAu2 after structural relaxation, from the Materials Project.

```
EuSnAu2
1.0
0.000 3.573 3.573
3.573 0.000 3.573
3.573 3.573 0.000
Eu Sn Au
1 1 2
Direct
0.500 0.500 0.500
0.000 0.000 0.000
0.750 0.750 0.750
0.250 0.250 0.250
```

## Properties
Symmetry: Fm-3m
DFT formation energy in eV/atom: -0.63

---

3.
The following is a r²SCAN calculation of AuF5 after structural relaxation, from the Materials Project.

```
AuF5
1.0
4.770 0.000 0.000
0.000 9.211 0.000
0.000 0.000 14.891
Au F
8 40
Direct
0.072 0.129 0.144
0.572 0.371 0.856
0.428 0.629 0.356
0.928 0.871 0.644
0.928 0.871 0.856
0.428 0.629 0.144
0.572 0.371 0.644
0.072 0.129 0.356
0.252 0.025 0.052
0.752 0.475 0.948
0.248 0.525 0.448
0.748 0.975 0.552
0.748 0.975 0.948
0.248 0.525 0.052
0.752 0.475 0.552
0.252 0.025 0.448
0.379 0.262 0.351
0.879 0.238 0.649
0.121 0.762 0.149
0.621 0.738 0.851
0.621 0.738 0.649
0.121 0.762 0.351
0.879 0.238 0.851
0.379 0.262 0.149
0.895 0.235 0.250
0.395 0.265 0.750
0.605 0.735 0.250
0.105 0.765 0.750
0.242 0.020 0.250
0.742 0.480 0.750
0.258 0.520 0.250
0.758 0.980 0.750
0.762 0.997 0.355
0.262 0.503 0.645
0.738 0.497 0.145
0.238 0.003 0.855
0.238 0.003 0.645
0.738 0.497 0.355
0.262 0.503 0.855
0.762 0.997 0.145
0.902 0.240 0.447
0.402 0.260 0.553
0.598 0.740 0.053
0.098 0.760 0.947
0.098 0.760 0.553
0.598 0.740 0.447
0.402 0.260 0.947
0.902 0.240 0.053
```

## Properties
Symmetry: Pnma
DFT formation energy in eV/atom: -0.87

---

4.
The following is a r²SCAN calculation of HgAu2F8 after structural relaxation, from the Materials Project.

```
HgAu2F8
1.0
-2.281 3.099 4.274
-4.721 -3.282 -0.140
4.298 -6.482 6.994
Hg Au F
2 4 16
Direct
0.000 0.000 0.750
0.000 0.000 0.250
0.500 0.000 0.500
0.000 0.500 0.500
0.500 0.000 0.000
0.000 0.500 0.000
0.686 0.843 0.629
0.314 0.157 0.629
0.843 0.686 0.871
0.843 0.314 0.629
0.157 0.686 0.629
0.314 0.843 0.871
0.843 0.686 0.129
0.314 0.843 0.129
0.686 0.157 0.129
0.843 0.314 0.371
0.157 0.686 0.371
0.157 0.314 0.129
0.686 0.843 0.371
0.314 0.157 0.371
0.157 0.314 0.871
0.686 0.157 0.871
```

## Properties
Symmetry: P4/mcc
DFT formation energy in eV/atom: -1.29

---

5.
The following is a r²SCAN calculation of LiAuF6 after structural relaxation, from the Materials Project.

```
LiAuF6
1.0
-1.216 3.320 4.007
0.831 -1.018 5.180
3.567 2.517 3.081
Li Au F
1 1 6
Direct
0.500 0.500 0.500
0.000 0.000 0.000
0.902 0.609 0.242
0.609 0.242 0.902
0.242 0.902 0.609
0.098 0.391 0.758
0.391 0.758 0.098
0.758 0.098 0.391
```

## Properties
Symmetry: R-3
DFT formation energy in eV/atom: -1.59

---

6.
The following is a r²SCAN calculation of NiAu2F8 after structural relaxation, from the Materials Project.

```
NiAu2F8
1.0
5.448 0.000 0.000
0.000 5.447 -0.009
0.000 3.569 10.066
Ni Au F
2 4 16
Direct
0.500 0.500 0.000
0.000 0.500 0.500
0.708 0.866 0.665
0.208 0.134 0.835
0.292 0.134 0.335
0.792 0.866 0.165
0.598 0.562 0.812
0.098 0.438 0.688
0.402 0.438 0.188
0.902 0.562 0.312
0.686 0.173 0.019
0.186 0.827 0.481
0.798 0.660 0.044
0.298 0.340 0.456
0.202 0.340 0.956
0.702 0.660 0.544
0.794 0.067 0.282
0.294 0.933 0.218
0.206 0.933 0.718
0.706 0.067 0.782
0.814 0.173 0.519
0.314 0.827 0.981
```

## Properties
Symmetry: P2_1/c
DFT formation energy in eV/atom: -1.45

---

7.
The following is a r²SCAN calculation of PdAu2F8 after structural relaxation, from the Materials Project.

```
PdAu2F8
1.0
-5.330 -6.980 -6.576
3.942 0.059 -3.258
6.259 -4.232 -0.581
Pd Au F
2 4 16
Direct
0.500 0.500 0.500
0.000 0.500 0.000
0.687 0.245 0.020
0.187 0.755 0.480
0.813 0.245 0.520
0.313 0.755 0.980
0.471 0.942 0.818
0.971 0.058 0.682
0.529 0.058 0.182
0.029 0.942 0.318
0.896 0.565 0.207
0.396 0.435 0.293
0.846 0.425 0.859
0.346 0.575 0.641
0.154 0.575 0.141
0.654 0.425 0.359
0.271 0.052 0.177
0.771 0.948 0.323
0.729 0.948 0.823
0.229 0.052 0.677
0.604 0.565 0.707
0.104 0.435 0.793
```

## Properties
Symmetry: P2_1/c
DFT formation energy in eV/atom: -1.23

---

8.
The following is a r²SCAN calculation of Th2AuF11 after structural relaxation, from the Materials Project.

```
Th2AuF11
1.0
-5.675 5.675 3.156
5.675 -5.675 3.156
5.675 5.675 -3.156
Th Au F
4 2 22
Direct
0.356 0.144 0.500
0.856 0.356 0.212
0.144 0.644 0.788
0.644 0.856 0.500
0.500 0.500 0.000
0.000 0.000 0.000
0.633 0.394 0.027
0.367 0.606 0.973
0.606 0.633 0.239
0.394 0.367 0.761
0.133 0.106 0.239
0.894 0.133 0.027
0.500 0.000 0.500
0.000 0.500 0.500
0.000 0.000 0.500
0.500 0.000 0.000
0.000 0.500 0.000
0.500 0.500 0.500
0.250 0.557 0.307
0.943 0.250 0.693
0.557 0.250 0.307
0.250 0.943 0.693
0.750 0.443 0.693
0.057 0.750 0.307
0.443 0.750 0.693
0.750 0.057 0.307
0.867 0.894 0.761
0.106 0.867 0.973
```

## Properties
Symmetry: I4/mcm
DFT formation energy in eV/atom: -3.51

---

9.
The following is a r²SCAN calculation of ZnAu2F8 after structural relaxation, from the Materials Project.

```
ZnAu2F8
1.0
5.416 0.000 0.000
0.000 5.519 -0.005
0.000 3.678 10.236
Zn Au F
2 4 16
Direct
0.500 0.500 0.000
0.000 0.500 0.500
0.712 0.862 0.666
0.212 0.138 0.834
0.288 0.138 0.334
0.788 0.862 0.166
0.615 0.560 0.813
0.115 0.440 0.687
0.385 0.440 0.187
0.885 0.560 0.313
0.689 0.167 0.022
0.189 0.833 0.478
0.799 0.659 0.048
0.299 0.341 0.452
0.201 0.341 0.952
0.701 0.659 0.548
0.784 0.060 0.281
0.284 0.940 0.219
0.216 0.940 0.719
0.716 0.060 0.781
0.811 0.167 0.522
0.311 0.833 0.978
```

## Properties
Symmetry: P2_1/c
DFT formation energy in eV/atom: -1.54

---

10.
The following is a r²SCAN calculation of GaAu after structural relaxation, from the Materials Project.

```
GaAu
1.0
3.642 0.000 0.000
0.000 6.257 0.000
0.000 0.000 6.259
Ga Au
4 4
Direct
0.250 0.679 0.924
0.750 0.321 0.076
0.250 0.179 0.576
0.750 0.821 0.424
0.250 0.505 0.312
0.750 0.495 0.688
0.250 0.005 0.188
0.750 0.995 0.812
```

## Properties
Symmetry: Pnma
DFT formation energy in eV/atom: -0.23

---

11.
The following is a r²SCAN calculation of Ga2Au7 after structural relaxation, from the Materials Project.

```
Ga2Au7
1.0
-7.208 2.590 0.994
1.335 -6.015 -4.657
-1.057 -5.601 6.932
Ga Au
6 21
Direct
0.333 0.667 0.191
0.000 0.000 0.696
0.333 0.667 0.809
0.667 0.333 0.809
0.667 0.333 0.191
0.000 0.000 0.304
0.000 0.357 0.330
0.683 0.000 0.832
0.000 0.728 0.500
0.000 0.683 0.832
0.317 0.317 0.168
0.272 0.272 0.500
0.000 0.683 0.168
0.728 0.000 0.500
0.357 0.000 0.330
0.643 0.643 0.670
0.370 0.000 0.000
0.667 0.333 0.500
0.357 0.000 0.670
0.000 0.000 0.000
0.317 0.317 0.832
0.630 0.630 0.000
0.683 0.000 0.168
0.643 0.643 0.330
0.000 0.370 0.000
0.333 0.667 0.500
0.000 0.357 0.670
```

## Properties
Symmetry: P-62m
DFT formation energy in eV/atom: -0.08

---

12.
The following is a r²SCAN calculation of HoGaAu after structural relaxation, from the Materials Project.

```
HoGaAu
1.0
2.219 5.187 0.003
-2.219 5.187 0.003
0.000 4.683 5.282
Ho Ga Au
2 2 2
Direct
0.537 0.537 0.702
0.463 0.463 0.298
0.842 0.842 0.106
0.158 0.158 0.894
0.177 0.177 0.285
0.823 0.823 0.715
```

## Properties
Symmetry: C2/m
DFT formation energy in eV/atom: -0.89

---

Values of E_tot, in order: -613.63, -166.97, -571.24, -379.53, -84.45, -308.23, -325.38, -561.99, -303.98, -249.96, -1133.23, -195.17, all in eV per cell.